Record 1
# Na14Zr4Zn4Si7S5O48 (PBE, relaxed)
data_Na14Zr4Zn4Si7S5O48
_symmetry_space_group_name_H-M 'P 1'
_symmetry_Int_Tables_number 1
_cell_length_a 18.445
_cell_length_b 9.262
_cell_length_c 22.396
_cell_angle_alpha 90.18
_cell_angle_beta 89.46
_cell_angle_gamma 119.98
loop_
_symmetry_equiv_pos_as_xyz
'x,y,z'
loop_
_atom_site_label
_atom_site_type_symbol
_atom_site_fract_x
_atom_site_fract_y
_atom_site_fract_z
O1 O 0.744 0.330 0.744
O2 O 0.754 0.677 0.252
O3 O 0.417 0.296 0.525
O4 O 0.558 0.646 0.358
O5 O 0.398 0.969 0.698
O6 O 0.073 0.671 0.468
O7 O 0.985 0.811 0.088
O8 O 0.664 0.466 0.359
O9 O 0.924 0.307 0.246
O10 O 0.108 0.037 0.313
O11 O 0.258 0.861 0.364
O12 O 0.660 0.463 0.468
O13 O 0.752 0.645 0.576
O14 O 0.587 0.006 0.593
O15 O 0.255 0.829 0.754
O16 O 0.342 0.164 0.752
O17 O 0.938 0.355 0.920
O18 O 0.927 0.533 0.747
O19 O 0.751 0.149 0.920
O20 O 0.167 0.860 0.969
O21 O 0.256 0.362 0.420
O22 O 0.413 0.982 0.415
O23 O 0.765 0.853 0.473
O24 O 0.074 0.664 0.076
O25 O 0.617 0.193 0.814
O26 O 0.090 0.967 0.918
O27 O 0.597 0.187 0.089
O28 O 0.273 0.859 0.480
O29 O 0.824 0.505 0.631
O30 O 0.396 0.817 0.917
O31 O 0.896 0.819 0.194
O32 O 0.098 0.008 0.591
O33 O 0.672 0.866 0.858
O34 O 0.520 0.826 0.417
O35 O 0.023 0.218 0.917
O36 O 0.755 0.860 0.079
O37 O 0.842 0.178 0.749
O38 O 0.754 0.848 0.751
O39 O 0.111 0.174 0.813
O40 O 0.247 0.327 0.743
O41 O 0.941 0.355 0.645
O42 O 0.578 0.982 0.916
O43 O 0.255 0.652 0.581
O44 O 0.241 0.160 0.244
O45 O 0.592 0.995 0.192
O46 O 0.243 0.123 0.913
O47 O 0.264 0.649 0.861
O48 O 0.575 0.685 0.755
O49 O 0.221 0.291 0.019
O50 O 0.913 0.845 0.915
O51 O 0.838 0.125 0.026
O52 O 0.676 0.488 0.076
O53 O 0.677 0.853 0.579
O54 O 0.826 0.502 0.915
O55 O 0.169 0.864 0.860
O56 O 0.919 0.540 0.023
O57 O 0.147 0.819 0.256
O58 O 0.006 0.813 0.702
O59 O 0.322 0.512 0.917
O60 O 0.350 0.137 0.012
O61 O 0.840 0.514 0.250
O62 O 0.574 0.669 0.466
O63 O 0.654 0.847 0.974
O64 O 0.338 0.551 0.528
O65 O 0.609 0.047 0.310
O66 O 0.076 0.480 0.966
O67 O 0.076 0.466 0.252
O68 O 0.761 0.904 0.355
O69 O 0.747 0.164 0.242
O70 O 0.829 0.165 0.422
O71 O 0.253 0.661 0.250
O72 O 0.253 0.850 0.075
O73 O 0.938 0.514 0.416
O74 O 0.002 0.176 0.590
O75 O 0.916 0.821 0.585
O76 O 0.235 0.108 0.638
O77 O 0.406 0.803 0.587
O78 O 0.089 0.164 0.089
O79 O 0.742 0.127 0.640
O80 O 0.588 0.202 0.697
O81 O 0.062 0.474 0.859
O82 O 0.244 0.357 0.136
O83 O 0.078 0.693 0.752
O84 O 0.491 0.780 0.811
O85 O 0.847 0.546 0.513
O86 O 0.090 0.976 0.194
O87 O 0.151 0.471 0.753
O88 O 0.716 0.149 0.522
O89 O 0.159 0.467 0.475
O90 O 0.582 0.660 0.082
O91 O 0.575 0.484 0.575
O92 O 0.437 0.358 0.645
O93 O 0.434 0.519 0.140
O94 O 0.572 0.473 0.968
O95 O 0.903 0.034 0.814
O96 O 0.436 0.522 0.421
O97 O 0.320 0.137 0.129
O98 O 0.090 0.186 0.695
O99 O 0.012 0.207 0.200
O100 O 0.734 0.361 0.136
O101 O 0.588 0.204 0.417
O102 O 0.065 0.654 0.360
O103 O 0.018 0.820 0.417
O104 O 0.758 0.656 0.863
O105 O 0.397 0.805 0.193
O106 O 0.991 0.774 0.811
O107 O 0.899 0.991 0.694
O108 O 0.576 0.458 0.251
O109 O 0.266 0.670 0.970
O110 O 0.511 0.817 0.703
O111 O 0.648 0.828 0.250
O112 O 0.935 0.515 0.144
O113 O 0.504 0.197 0.201
O114 O 0.772 0.687 0.979
O115 O 0.906 0.009 0.085
O116 O 0.320 0.532 0.637
O117 O 0.326 0.150 0.416
O118 O 0.416 0.005 0.085
O119 O 0.084 0.506 0.584
O120 O 0.175 0.481 0.358
O121 O 0.431 0.560 0.022
O122 O 0.425 0.319 0.245
O123 O 0.487 0.203 0.309
O124 O 0.820 0.111 0.135
O125 O 0.933 0.304 0.525
O126 O 0.403 0.774 0.312
O127 O 0.178 0.501 0.077
O128 O 0.406 0.016 0.817
O129 O 0.512 0.212 0.917
O130 O 0.342 0.506 0.247
O131 O 0.221 0.137 0.530
O132 O 0.437 0.368 0.917
O133 O 0.423 0.541 0.748
O134 O 0.177 0.866 0.578
O135 O 0.908 0.791 0.312
O136 O 0.500 0.827 0.088
O137 O 0.742 0.362 0.413
O138 O 0.485 0.160 0.589
O139 O 0.085 0.182 0.418
O140 O 0.648 0.479 0.754
O141 O 0.719 0.303 0.028
O142 O 0.994 0.206 0.309
O143 O 0.907 0.979 0.415
O144 O 0.563 0.471 0.860
S1 S 0.522 0.667 0.415
S2 S 0.000 0.704 0.753
S3 S 0.000 0.294 0.252
S4 S 0.519 0.377 0.915
S5 S 0.664 0.373 0.413
S6 S 0.832 0.036 0.081
S7 S 0.683 0.335 0.082
S8 S 0.499 0.706 0.755
S9 S 0.312 0.662 0.915
S10 S 0.184 0.033 0.584
S11 S 0.024 0.380 0.915
S12 S 0.332 0.630 0.583
S13 S 0.498 0.294 0.253
S14 S 0.021 0.663 0.415
S15 S 0.167 0.955 0.914
Zn1 Zn 0.337 0.333 0.013
Zn2 Zn 0.998 0.996 0.350
Zn3 Zn 0.834 0.348 0.188
Zn4 Zn 0.508 0.015 0.842
Zn5 Zn 0.830 0.346 0.979
Zn6 Zn 0.173 0.659 0.811
Zn7 Zn 0.995 0.003 0.839
Zn8 Zn 0.334 0.315 0.687
Zn9 Zn 0.496 0.987 0.341
Zn10 Zn 0.833 0.316 0.496
Zn11 Zn 0.681 0.705 0.313
Zn12 Zn 0.332 0.319 0.479
Si1 Si 0.338 0.040 0.075
Si2 Si 0.476 0.335 0.583
Si3 Si 0.681 0.034 0.582
Si4 Si 0.350 0.691 0.252
Si5 Si 0.486 0.634 0.083
Si6 Si 0.664 0.970 0.916
Si7 Si 0.322 0.970 0.419
Si8 Si 0.182 0.326 0.079
Si9 Si 0.350 0.994 0.757
Si10 Si 0.651 0.304 0.753
Si11 Si 0.974 0.617 0.083
Si12 Si 0.817 0.977 0.415
Si13 Si 0.147 0.997 0.254
Si14 Si 0.850 0.011 0.753
Si15 Si 0.650 0.008 0.250
Si16 Si 0.988 0.341 0.585
Si17 Si 0.150 0.291 0.752
Si18 Si 0.849 0.700 0.254
Si19 Si 0.838 0.629 0.574
Si20 Si 0.822 0.674 0.919
Si21 Si 0.168 0.364 0.417
Na1 Na 0.692 0.371 0.260
Na2 Na 0.356 0.048 0.915
Na3 Na 0.157 0.982 0.086
Na4 Na 0.169 0.280 0.914
Na5 Na 0.503 0.646 0.256
Na6 Na 0.974 0.668 0.921
Na7 Na 0.974 0.271 0.426
Na8 Na 0.686 0.015 0.753
Na9 Na 0.354 0.669 0.409
Na10 Na 0.150 0.331 0.587
Na11 Na 0.504 0.001 0.494
Na12 Na 0.852 0.675 0.418
Na13 Na 0.836 0.686 0.083
Na14 Na 0.808 0.993 0.257
Na15 Na 0.169 0.679 0.171
Na16 Na 0.325 0.314 0.337
Na17 Na 0.650 0.968 0.092
Na18 Na 0.853 0.038 0.909
Na19 Na 0.183 0.352 0.259
Na20 Na 0.336 0.688 0.086
Na21 Na 0.823 0.334 0.834
Na22 Na 0.837 0.983 0.576
Na23 Na 0.989 0.638 0.244
Na24 Na 0.477 0.285 0.422
Na25 Na 0.678 0.049 0.412
Na26 Na 0.337 0.994 0.577
Na27 Na 0.669 0.660 0.663
Na28 Na 0.479 0.677 0.926
Na29 Na 0.492 0.348 0.737
Na30 Na 0.671 0.288 0.906
Na31 Na 0.999 0.000 0.997
Na32 Na 0.500 0.003 0.998
Na33 Na 0.002 0.355 0.748
Na34 Na 0.661 0.663 0.180
Na35 Na 0.991 0.995 0.491
Na36 Na 0.308 0.623 0.743
Na37 Na 0.659 0.335 0.578
Na38 Na 0.325 0.319 0.824
Na39 Na 0.824 0.315 0.333
Na40 Na 0.169 0.056 0.406
Na41 Na 0.191 0.013 0.754
Na42 Na 0.159 0.656 0.675
Zr1 Zr 0.164 0.663 0.025
Zr2 Zr 0.831 0.334 0.681
Zr3 Zr 0.330 0.325 0.182
Zr4 Zr 0.670 0.674 0.522
Zr5 Zr 0.178 0.679 0.314
Zr6 Zr 0.993 0.998 0.649
Zr7 Zr 0.500 0.013 0.649
Zr8 Zr 0.167 0.661 0.517
Zr9 Zr 0.000 0.988 0.149
Zr10 Zr 0.494 0.989 0.150
Zr11 Zr 0.678 0.677 0.813
Zr12 Zr 0.666 0.674 0.016
# **DFT formation energy**: -2.58 eV per atom
# **Magnetic moment**: 0.000 μB/f.u.


Record 2
# Na2Zr2Zn2SiS5O24 (PBE, relaxed)
data_Na2Zr2Zn2SiS5O24
_symmetry_space_group_name_H-M 'P 1'
_symmetry_Int_Tables_number 1
_cell_length_a 8.870
_cell_length_b 8.874
_cell_length_c 23.288
_cell_angle_alpha 89.90
_cell_angle_beta 89.92
_cell_angle_gamma 119.83
loop_
_symmetry_equiv_pos_as_xyz
'x,y,z'
loop_
_atom_site_label
_atom_site_type_symbol
_atom_site_fract_x
_atom_site_fract_y
_atom_site_fract_z
O1 O 0.303 0.463 0.758
O2 O 0.480 0.119 0.635
O3 O 0.518 0.875 0.365
O4 O 0.217 0.185 0.803
O5 O 0.511 0.645 0.577
O6 O 0.175 0.978 0.909
O7 O 0.148 0.692 0.469
O8 O 0.813 0.787 0.303
O9 O 0.882 0.364 0.635
O10 O 0.122 0.482 0.866
O11 O 0.205 0.034 0.308
O12 O 0.981 0.179 0.590
O13 O 0.356 0.864 0.576
O14 O 0.158 0.465 0.257
O15 O 0.826 0.031 0.090
O16 O 0.485 0.169 0.242
O17 O 0.513 0.867 0.077
O18 O 0.481 0.355 0.135
O19 O 0.800 0.819 0.912
O20 O 0.489 0.133 0.923
O21 O 0.520 0.831 0.757
O22 O 0.547 0.852 0.469
O23 O 0.313 0.826 0.257
O24 O 0.024 0.198 0.912
O25 O 0.182 0.209 0.699
O26 O 0.357 0.483 0.365
O27 O 0.802 0.976 0.409
O28 O 0.137 0.492 0.576
O29 O 0.310 0.459 0.469
O30 O 0.976 0.788 0.804
O31 O 0.689 0.150 0.031
O32 O 0.972 0.814 0.087
O33 O 0.031 0.819 0.699
O34 O 0.642 0.134 0.422
O35 O 0.124 0.642 0.366
O36 O 0.683 0.176 0.744
O37 O 0.024 0.210 0.198
O38 O 0.158 0.646 0.078
O39 O 0.148 0.455 0.969
O40 O 0.199 0.022 0.590
O41 O 0.515 0.641 0.866
O42 O 0.455 0.304 0.031
O43 O 0.540 0.690 0.970
O44 O 0.866 0.507 0.139
O45 O 0.469 0.318 0.743
O46 O 0.635 0.506 0.923
O47 O 0.531 0.687 0.257
O48 O 0.452 0.147 0.530
O49 O 0.358 0.875 0.865
O50 O 0.853 0.305 0.530
O51 O 0.641 0.517 0.636
O52 O 0.639 0.122 0.135
O53 O 0.799 0.971 0.695
O54 O 0.364 0.494 0.076
O55 O 0.175 0.202 0.412
O56 O 0.200 0.181 0.089
O57 O 0.786 0.816 0.198
O58 O 0.969 0.183 0.303
O59 O 0.176 0.969 0.194
O60 O 0.690 0.535 0.243
O61 O 0.843 0.536 0.743
O62 O 0.825 0.798 0.589
O63 O 0.695 0.546 0.531
O64 O 0.866 0.354 0.924
O65 O 0.822 0.032 0.809
O66 O 0.865 0.504 0.423
O67 O 0.306 0.854 0.969
O68 O 0.019 0.821 0.411
O69 O 0.847 0.313 0.244
O70 O 0.493 0.359 0.422
O71 O 0.838 0.532 0.028
O72 O 0.155 0.689 0.757
S1 S 0.631 0.962 0.419
S2 S 0.293 0.288 0.751
S3 S 0.334 0.374 0.419
S4 S 0.377 0.338 0.083
S5 S 0.664 0.039 0.083
S6 S 0.624 0.672 0.919
S7 S 0.002 0.288 0.251
S8 S 0.328 0.957 0.917
S9 S 0.036 0.665 0.420
S10 S 0.709 0.711 0.252
S11 S 0.662 0.617 0.583
S12 S 0.960 0.340 0.582
S13 S 0.378 0.041 0.582
S14 S 0.047 0.372 0.918
S15 S 0.994 0.707 0.751
Zn1 Zn 0.666 0.317 0.683
Zn2 Zn 0.016 0.006 0.353
Zn3 Zn 0.663 0.333 0.486
Zn4 Zn 0.334 0.666 0.518
Zn5 Zn 0.318 0.666 0.018
Zn6 Zn 0.993 0.003 0.845
Na1 Na 0.003 0.001 0.497
Na2 Na 0.999 0.995 0.996
Na3 Na 0.668 0.324 0.824
Na4 Na 0.338 0.672 0.661
Na5 Na 0.323 0.671 0.163
Na6 Na 0.657 0.327 0.339
Zr1 Zr 0.331 0.676 0.317
Zr2 Zr 0.342 0.675 0.810
Zr3 Zr 0.677 0.345 0.979
Zr4 Zr 0.671 0.334 0.187
Zr5 Zr 0.008 0.987 0.147
Zr6 Zr 0.987 0.996 0.647
Si1 Si 0.970 0.626 0.083
Si2 Si 0.716 0.015 0.752
Si3 Si 0.292 0.001 0.254
# **DFT formation energy**: -2.35 eV per atom
# **Magnetic moment**: 0.000 μB/f.u.